Entry 1:
The following is a PBE-GGA calculation of crystalline Sc2MnSi at its relaxed geometry, from Materials Project.

Cell lengths 4.511, 4.511, 4.511 Å; angles 60.00, 60.00, 60.00 degrees
Sites, in units of the cell vectors:
Sc 0.000 0.000 0.000
Sc 0.250 0.250 0.250
Mn 0.750 0.750 0.750
Si 0.500 0.500 0.500

## Properties
E_tot = -7.0134 eV per atom
Formation energy = -0.1826 eV per atom
Space-group type = F-43m (216)


Entry 2:
The following is a PBE-GGA calculation of crystalline UTl4C3O11 at its relaxed geometry, from Materials Project.

Cell lengths 7.240, 7.240, 13.064 Å; angles 93.37, 93.37, 82.17 degrees
Sites, in units of the cell vectors:
U 0.201 0.799 0.750
U 0.799 0.201 0.250
Tl 0.043 0.330 0.851
Tl 0.201 0.586 0.446
Tl 0.330 0.043 0.351
Tl 0.414 0.799 0.054
Tl 0.586 0.201 0.946
Tl 0.670 0.957 0.649
Tl 0.799 0.414 0.554
Tl 0.957 0.670 0.149
C 0.068 0.159 0.090
C 0.159 0.068 0.590
C 0.495 0.505 0.250
C 0.505 0.495 0.750
C 0.841 0.932 0.410
C 0.932 0.841 0.910
O 0.046 0.079 0.667
O 0.047 0.646 0.679
O 0.079 0.046 0.167
O 0.084 0.718 0.912
O 0.150 0.193 0.526
O 0.193 0.150 0.026
O 0.282 0.916 0.588
O 0.354 0.953 0.821
O 0.361 0.639 0.250
O 0.383 0.523 0.822
O 0.477 0.617 0.678
O 0.523 0.383 0.322
O 0.617 0.477 0.178
O 0.639 0.361 0.750
O 0.646 0.047 0.179
O 0.718 0.084 0.412
O 0.807 0.850 0.974
O 0.850 0.807 0.474
O 0.916 0.282 0.088
O 0.921 0.954 0.833
O 0.953 0.354 0.321
O 0.954 0.921 0.333

## Properties
E_tot = -7.0501 eV per atom
Formation energy = -2.0344 eV per atom
Space-group type = C2/c (15)


Which of these has the highest formation energy? Sc2MnSi


The lowest E_tot belongs to which entry? UTl4C3O11


Which of these has the highest E_tot? Sc2MnSi